(1)
PrSiPt after structural relaxation, computed with r²SCAN.

Results
Energy relative to the elements (kcal/mol of atoms): -28.27

Geometry as CIF:
```
data_PrSiPt
_cell_length_a 4.237
_cell_length_b 4.237
_cell_length_c 14.479
_cell_angle_alpha 90.00
_cell_angle_beta 90.00
_cell_angle_gamma 90.00
_space_group_name_H-M_alt 'I 41 m d'
_space_group_IT_number 109
_space_group_name_Hall 'I 4bw -2'
loop_
_atom_site_label
_atom_site_type_symbol
_atom_site_fract_x
_atom_site_fract_y
_atom_site_fract_z
Pr1 Pr 0.000 0.000 0.000
Si1 Si 0.000 0.000 0.420
Pt1 Pt 0.000 0.000 0.588
```

=====

(2)
V3OF11 after structural relaxation, computed with r²SCAN.

Results
Energy relative to the elements (kcal/mol of atoms): -67.80

Geometry as CIF:
```
data_V3OF11
_cell_length_a 5.348
_cell_length_b 5.060
_cell_length_c 14.045
_cell_angle_alpha 90.00
_cell_angle_beta 99.42
_cell_angle_gamma 90.00
_space_group_name_H-M_alt 'P 1 21 1'
_space_group_IT_number 4
loop_
_space_group_symop_operation_xyz
'x,y,z'
'-x,y+1/2,-z'
loop_
_atom_site_label
_atom_site_type_symbol
_atom_site_fract_x
_atom_site_fract_y
_atom_site_fract_z
V1 V 0.030 0.000 0.163
V2 V 0.250 0.467 0.500
V3 V 0.442 0.983 0.832
O1 O 0.227 0.677 0.862
F1 F 0.054 0.860 0.051
F2 F 0.068 0.776 0.530
F3 F 0.124 0.068 0.285
F4 F 0.125 0.186 0.803
F5 F 0.217 0.565 0.380
F6 F 0.254 0.277 0.137
F7 F 0.277 0.357 0.619
F8 F 0.381 0.775 0.197
F9 F 0.386 0.859 0.715
F10 F 0.435 0.157 0.471
F11 F 0.455 0.067 0.953
```

=====

Number 1: VASP energy -93.3 eV per formula unit. Number 2: VASP energy -126.7 eV per formula unit.